[1]
A plane-wave DFT calculation with PBE was carried out for an optimized crystal structure of Mg2Ti7O15.

Cell: 5.2584 10.0827 10.7171 Å, 90.00 96.02 90.00°
With the nearest neighbours (Å) after each atom.
Element x y z (fractional)
Mg (0.0087, 0.2500, 0.3978)  6 O 2.03-2.18
Mg (0.3252, 0.7500, 0.9350)  6 O 2.01-2.18
Mg (0.6748, 0.2500, 0.0650)  6 O 2.01-2.18
Mg (0.9913, 0.7500, 0.6022)  6 O 2.03-2.18
Ti (0.1065, 0.5615, 0.3803)  6 O 1.91-2.14
Ti (0.1065, 0.9385, 0.3803)  6 O 1.91-2.14
Ti (0.2252, 0.0625, 0.9568)  4 O 1.83-1.99
Ti (0.2252, 0.4375, 0.9568)  4 O 1.83-1.99
Ti (0.3418, 0.2500, 0.7316)  6 O 1.95-2.15
Ti (0.4390, 0.5683, 0.7131)  4 O 1.83-2.02
Ti (0.4390, 0.9317, 0.7131)  4 O 1.83-2.02
Ti (0.5610, 0.0683, 0.2869)  4 O 1.83-2.02
Ti (0.5610, 0.4317, 0.2869)  4 O 1.83-2.02
Ti (0.6582, 0.7500, 0.2684)  6 O 1.95-2.15
Ti (0.7748, 0.5625, 0.0432)  4 O 1.83-1.99
Ti (0.7748, 0.9375, 0.0432)  4 O 1.83-1.99
Ti (0.8935, 0.0615, 0.6197)  6 O 1.91-2.14
Ti (0.8935, 0.4385, 0.6197)  6 O 1.91-2.14
O (0.0482, 0.2500, 0.5965)  3 Ti 2.00-2.09, 1 Mg 2.12
O (0.0748, 0.6136, 0.9846)  2 Ti 1.83-1.98, 1 Mg 2.01
O (0.0748, 0.8864, 0.9846)  2 Ti 1.83-1.98, 1 Mg 2.01
O (0.1507, 0.0690, 0.7706)  4 Ti 1.99-2.19
O (0.1507, 0.4310, 0.7706)  4 Ti 1.99-2.19
O (0.1854, 0.5658, 0.5628)  3 Ti 1.96-2.14, 1 Mg 2.18
O (0.1854, 0.9342, 0.5628)  3 Ti 1.96-2.14, 1 Mg 2.18
O (0.2595, 0.1117, 0.3480)  2 Ti 1.83-1.97, 1 Mg 2.03
O (0.2595, 0.3883, 0.3480)  2 Ti 1.83-1.97, 1 Mg 2.03
O (0.2944, 0.7500, 0.7411)  2 Ti 2.02, 2 Mg 2.06-2.07
O (0.3745, 0.2500, 0.9185)  3 Ti 1.99-2.10, 1 Mg 2.11
O (0.4148, 0.6191, 0.3170)  3 Ti 1.91-2.08
O (0.4148, 0.8809, 0.3170)  3 Ti 1.91-2.08
O (0.4781, 0.0665, 0.1034)  3 Ti 1.95-2.18, 1 Mg 2.18
O (0.4781, 0.4335, 0.1034)  3 Ti 1.95-2.18, 1 Mg 2.18
O (0.5219, 0.5665, 0.8966)  3 Ti 1.95-2.18, 1 Mg 2.18
O (0.5219, 0.9335, 0.8966)  3 Ti 1.95-2.18, 1 Mg 2.18
O (0.5852, 0.1191, 0.6830)  3 Ti 1.91-2.08
O (0.5852, 0.3809, 0.6830)  3 Ti 1.91-2.08
O (0.6255, 0.7500, 0.0815)  3 Ti 1.99-2.10, 1 Mg 2.11
O (0.7056, 0.2500, 0.2589)  2 Ti 2.02, 2 Mg 2.06-2.07
O (0.7405, 0.6117, 0.6520)  2 Ti 1.83-1.97, 1 Mg 2.03
O (0.7405, 0.8883, 0.6520)  2 Ti 1.83-1.97, 1 Mg 2.03
O (0.8146, 0.0658, 0.4372)  3 Ti 1.96-2.14, 1 Mg 2.18
O (0.8146, 0.4342, 0.4372)  3 Ti 1.96-2.14, 1 Mg 2.18
O (0.8493, 0.5690, 0.2294)  4 Ti 1.99-2.19
O (0.8493, 0.9310, 0.2294)  4 Ti 1.99-2.19
O (0.9252, 0.1136, 0.0154)  2 Ti 1.83-1.98, 1 Mg 2.01
O (0.9252, 0.3864, 0.0154)  2 Ti 1.83-1.98, 1 Mg 2.01
O (0.9518, 0.7500, 0.4035)  3 Ti 2.00-2.09, 1 Mg 2.12

Volume = 282.5 Å³/f.u.
Symmetry = No. 11
ΔH_f (0 K) = -3.417 eV per atom



[2]
A plane-wave DFT calculation with PBE was carried out for an optimized crystal structure of MgTi4O8.

Cell: 6.0106 6.0106 6.0106 Å, 60.00 60.00 60.00°
With the nearest neighbours (Å) after each atom.
Element x y z (fractional)
Mg (0.0000, 0.0000, 0.0000)  4 O 2.01
Ti (0.1352, 0.6216, 0.6216)  6 O 1.97-2.06
Ti (0.6216, 0.1352, 0.6216)  6 O 1.97-2.06
Ti (0.6216, 0.6216, 0.1352)  6 O 1.97-2.06
Ti (0.6216, 0.6216, 0.6216)  6 O 1.97-2.06
O (0.3901, 0.3901, 0.3901)  3 Ti 1.97
O (0.3901, 0.3901, 0.8298)  3 Ti 1.97
O (0.3901, 0.8298, 0.3901)  3 Ti 1.97
O (0.4090, 0.8637, 0.8637)  1 Mg 2.01, 3 Ti 2.06
O (0.8298, 0.3901, 0.3901)  3 Ti 1.97
O (0.8637, 0.4090, 0.8637)  1 Mg 2.01, 3 Ti 2.06
O (0.8637, 0.8637, 0.4090)  1 Mg 2.01, 3 Ti 2.06
O (0.8637, 0.8637, 0.8637)  1 Mg 2.01, 3 Ti 2.06

Distance to the lowest polymorph of the same formula = 0.000 eV per atom
Volume = 153.5 Å³/f.u.
Total magnetization = 0.078 μB per atom
Symmetry = No. 216
ΔH_f (0 K) = -3.338 eV per atom



[3]
A plane-wave DFT calculation with PBE was carried out for an optimized crystal structure of MgTi4O8.

Cell: 3.2605 7.6519 7.8488 Å, 82.93 78.03 77.86°
With the nearest neighbours (Å) after each atom.
Element x y z (fractional)
Mg (0.0000, 0.0000, 0.0000)  6 O 2.09-2.21
Ti (0.2178, 0.3539, 0.9332)  5 O 1.88-2.09
Ti (0.2530, 0.0249, 0.3388)  5 O 1.86-2.07
Ti (0.5028, 0.6473, 0.0694)  5 O 1.88-2.10
Ti (0.6161, 0.9782, 0.6631)  5 O 1.87-2.09
O (0.0198, 0.5266, 0.1337)  3 Ti 1.88-2.09
O (0.1699, 0.8391, 0.2187)  2 Ti 1.89-1.98, 1 Mg 2.09
O (0.2241, 0.1636, 0.7823)  2 Ti 1.89-1.98, 1 Mg 2.09
O (0.2256, 0.8789, 0.5798)  3 Ti 1.87-2.07
O (0.3862, 0.1551, 0.0992)  2 Ti 1.94-2.02, 1 Mg 2.15
O (0.6335, 0.8469, 0.9003)  2 Ti 1.95-2.01, 1 Mg 2.15
O (0.6791, 0.4744, 0.8681)  3 Ti 1.88-2.10
O (0.6832, 0.1246, 0.4197)  2 Ti 1.86-1.97

Distance to the lowest polymorph of the same formula = 0.139 eV per atom
Volume = 186.6 Å³/f.u.
Total magnetization = 0.154 μB per atom
Symmetry = No. 1
ΔH_f (0 K) = -3.199 eV per atom



[4]
A plane-wave DFT calculation with PBE was carried out for an optimized crystal structure of MgTi4O8.

Cell: 5.2826 5.2830 5.5577 Å, 77.40 69.68 75.71°
With the nearest neighbours (Å) after each atom.
Element x y z (fractional)
Mg (0.0000, 0.0000, 0.0000)  6 O 2.02-2.16
Ti (0.2836, 0.7623, 0.4330)  5 O 1.91-2.11
Ti (0.3914, 0.3028, 0.0657)  6 O 1.98-2.12
Ti (0.6086, 0.6972, 0.9343)  6 O 1.98-2.12
Ti (0.7164, 0.2377, 0.5670)  5 O 1.91-2.11
O (0.0683, 0.1476, 0.2936)  3 Ti 1.98-2.20, 1 Mg 2.12
O (0.1797, 0.6627, 0.1751)  2 Ti 1.91-2.05, 1 Mg 2.02
O (0.4125, 0.0669, 0.7950)  3 Ti 1.95-2.11, 1 Mg 2.16
O (0.4300, 0.5681, 0.7145)  4 Ti 1.96-2.12
O (0.5700, 0.4319, 0.2855)  4 Ti 1.96-2.12
O (0.5875, 0.9331, 0.2050)  3 Ti 1.95-2.11, 1 Mg 2.16
O (0.8203, 0.3373, 0.8249)  2 Ti 1.91-2.05, 1 Mg 2.02
O (0.9317, 0.8524, 0.7064)  3 Ti 1.98-2.20, 1 Mg 2.12

Distance to the lowest polymorph of the same formula = 0.089 eV per atom
Volume = 139.4 Å³/f.u.
Total magnetization = 0.000 μB per atom
Symmetry = No. 2
ΔH_f (0 K) = -3.249 eV per atom



[5]
A plane-wave DFT calculation with PBE was carried out for an optimized crystal structure of MgTiO2.

Cell: 7.3782 7.3782 7.3782 Å, 23.46 23.46 23.46°
With the nearest neighbours (Å) after each atom.
Element x y z (fractional)
Mg (0.0000, 0.0000, 0.0000)  6 Mg 3.00, 6 O 3.08-3.09
Ti (0.1671, 0.1671, 0.1671)  6 O 2.02
O (0.5483, 0.5483, 0.5483)  3 Ti 2.02
O (0.7858, 0.7858, 0.7858)  3 Ti 2.02

Volume = 55.9 Å³/f.u.
Total magnetization = 0.049 μB per atom
Symmetry = No. 160
ΔH_f (0 K) = -2.470 eV per atom



[6]
A plane-wave DFT calculation with PBE was carried out for an optimized crystal structure of MgTi4O8.

Cell: 6.6352 6.6352 6.6386 Å, 106.58 106.58 34.01°
With the nearest neighbours (Å) after each atom.
Element x y z (fractional)
Mg (0.0000, 0.0000, 0.0000)  5 O 1.99-2.10
Ti (0.1269, 0.1269, 0.7044)  4 O 1.82-2.02
Ti (0.2243, 0.2243, 0.3064)  5 O 1.90-2.13
Ti (0.4159, 0.4159, 0.6689)  5 O 1.90-2.08
Ti (0.5271, 0.5271, 0.3222)  6 O 1.93-2.08
O (0.0508, 0.0508, 0.3219)  2 Ti 1.96, 1 Mg 2.04
O (0.1636, 0.1636, 0.9908)  2 Ti 1.82-2.01
O (0.2620, 0.2620, 0.6406)  2 Ti 1.88-1.90
O (0.3787, 0.3787, 0.3450)  3 Ti 1.90-2.06
O (0.4661, 0.4661, 0.9973)  2 Mg 1.99, 2 Ti 2.06-2.08
O (0.5842, 0.5842, 0.6505)  4 Ti 2.02-2.18
O (0.6878, 0.6878, 0.3116)  3 Ti 2.00-2.06
O (0.9504, 0.9504, 0.6856)  3 Ti 1.99-2.21, 1 Mg 1.99

Distance to the lowest polymorph of the same formula = 0.047 eV per atom
Volume = 156.0 Å³/f.u.
Total magnetization = 0.065 μB per atom
Symmetry = No. 8
ΔH_f (0 K) = -3.292 eV per atom



[7]
A plane-wave DFT calculation with PBE was carried out for an optimized crystal structure of Mg3TiO4.

Cell: 4.3137 4.3137 4.3137 Å, 90.00 90.00 90.00°
With the nearest neighbours (Å) after each atom.
Element x y z (fractional)
Mg (0.0000, 0.0000, 0.5000)  6 O 2.16
Mg (0.0000, 0.5000, 0.0000)  6 O 2.16
Mg (0.5000, 0.0000, 0.0000)  6 O 2.16
Ti (0.5000, 0.5000, 0.5000)  6 O 2.16
O (0.0000, 0.0000, 0.0000)  6 Mg 2.16
O (0.0000, 0.5000, 0.5000)  4 Mg 2.16, 2 Ti 2.16
O (0.5000, 0.0000, 0.5000)  4 Mg 2.16, 2 Ti 2.16
O (0.5000, 0.5000, 0.0000)  4 Mg 2.16, 2 Ti 2.16

Volume = 80.3 Å³/f.u.
Total magnetization = 0.246 μB per atom
Symmetry = No. 221
ΔH_f (0 K) = -2.816 eV per atom



[8]
A plane-wave DFT calculation with PBE was carried out for an optimized crystal structure of MgTi4O8.

Cell: 5.2425 2.9961 9.5360 Å, 90.00 92.97 90.00°
With the nearest neighbours (Å) after each atom.
Element x y z (fractional)
Mg (0.0000, 0.0000, 0.0000)  4 O 1.93-2.15
Ti (0.0389, 0.0000, 0.4072)  6 O 1.94-2.17
Ti (0.4541, 0.0000, 0.8921)  4 O 1.95-2.01
Ti (0.5163, 0.5000, 0.1982)  5 O 1.92-2.08
Ti (0.9252, 0.5000, 0.6744)  6 O 1.90-2.09
O (0.1231, 0.0000, 0.7883)  3 Ti 1.95-2.09, 1 Mg 2.15
O (0.1731, 0.5000, 0.5183)  3 Ti 1.94-2.03
O (0.2547, 0.5000, 0.0159)  2 Mg 2.01, 3 Ti 2.16-2.20
O (0.3109, 0.0000, 0.2758)  3 Ti 1.95-2.01
O (0.6646, 0.0000, 0.0746)  1 Mg 1.93, 3 Ti 2.01-2.08
O (0.6705, 0.5000, 0.8266)  3 Ti 2.00-2.02
O (0.7804, 0.0000, 0.5774)  2 Ti 1.90
O (0.8314, 0.5000, 0.3110)  3 Ti 1.92-2.04

Distance to the lowest polymorph of the same formula = 0.074 eV per atom
Volume = 149.6 Å³/f.u.
Total magnetization = 0.044 μB per atom
Symmetry = No. 6
ΔH_f (0 K) = -3.265 eV per atom



[9]
A plane-wave DFT calculation with PBE was carried out for an optimized crystal structure of MgTiO2.

Cell: 5.5530 5.5530 5.5530 Å, 30.30 30.30 30.30°
With the nearest neighbours (Å) after each atom.
Element x y z (fractional)
Mg (0.0000, 0.0000, 0.0000)  6 O 2.07
Ti (0.5000, 0.5000, 0.5000)  6 O 2.21
O (0.2571, 0.2571, 0.2571)  3 Mg 2.07, 3 Ti 2.21
O (0.7429, 0.7429, 0.7429)  3 Mg 2.07, 3 Ti 2.21

Volume = 38.6 Å³/f.u.
Total magnetization = 0.000 μB per atom
Symmetry = No. 166
ΔH_f (0 K) = -2.817 eV per atom



What is the ΔH_f (0 K) in the eighth record?
-3.265 eV per atom



ΔH_f (0 K) of number 5 (MgTiO2)?
-2.470 eV per atom



Which value of ΔH_f (0 K) does entry 4 give?
-3.249 eV per atom